1.
Below is an optimized crystal structure of Ba5SrLa2Fe4O15, with properties calculated at the PBE+U level.

## Properties
**Space-group type**: No. 9
**Formation energy**: -2.728 eV per atom

Cell and atoms, written as extended XYZ:
```
54
Lattice="5.9837 -10.3484 0.0000 5.9837 10.3484 0.0000 -0.0191 0.0000 7.1636" Properties=species:S:1:pos:R:3 pbc="T T T"
Ba 5.9837 10.3482 0.0000
Ba 5.9742 -10.3481 3.5818
Ba 3.0849 1.8237 4.7450
Ba 5.9761 6.7401 4.7596
Ba 5.9796 3.4814 7.0163
Ba 3.0945 -1.8237 1.1632
Ba 8.8445 1.8387 4.7681
Ba 5.9891 -3.4814 3.4344
Ba 5.9856 -6.7401 1.1778
Ba 8.8541 -1.8387 1.1863
Sr 3.3713 4.9488 2.3920
Sr 3.3617 -4.9488 5.9738
La 5.9734 0.4390 2.4114
La 8.5937 4.9604 2.3907
La 5.9639 -0.4390 5.9932
La 8.5841 -4.9604 5.9725
Fe 5.9626 6.6428 1.1784
Fe 3.2096 1.8607 1.1620
Fe 5.9511 3.4615 3.7588
Fe 3.2001 -1.8607 4.7438
Fe 8.7576 1.8366 1.1756
Fe 5.9606 -3.4615 0.1770
Fe 5.9531 -6.6428 4.7602
Fe 8.7481 -1.8366 4.7575
O 4.3949 6.2814 0.1553
O 2.7401 3.3965 0.1526
O 5.9625 8.3616 1.9041
O 1.7316 0.9978 1.8977
O 4.4971 4.2827 4.8422
O 1.7220 -0.9978 5.4795
O 6.0216 5.1792 2.4531
O 4.4936 2.5184 2.4519
O 7.5612 6.2766 0.2562
O 4.3540 0.6612 0.2138
O 2.7306 -3.3965 3.7344
O 4.3444 -0.6612 3.7957
O 7.4215 4.2739 4.7627
O 5.9652 1.7159 4.7913
O 4.4841 -2.5184 6.0337
O 7.4864 2.5497 2.4539
O 5.9748 -1.7159 1.2094
O 4.5066 -4.2827 1.2604
O 7.6026 0.6521 0.2170
O 9.2186 3.4028 0.2541
O 7.5930 -0.6521 3.7988
O 4.3853 -6.2814 3.7371
O 7.4769 -2.5497 6.0357
O 6.0120 -5.1792 6.0349
O 10.2364 0.9732 1.9049
O 7.4311 -4.2739 1.1808
O 5.9529 -8.3616 5.4859
O 10.2268 -0.9732 5.4867
O 7.5516 -6.2766 3.8380
O 9.2090 -3.4028 3.8359
```

---

2.
Below is an optimized crystal structure of BaLaTiFeO6, with properties calculated at the PBE+U level.

## Properties
**Formation energy**: -3.113 eV per atom

Cell and atoms, written as extended XYZ:
```
20
Lattice="3.9971 0.0000 3.9971 0.0000 3.9971 3.9971 -3.9971 -3.9971 7.9942" Properties=species:S:1:pos:R:3 pbc="T T T"
Ba 1.9985 1.9985 9.9927
Ba -1.9985 -1.9985 9.9927
O -1.9719 0.0000 11.9913
O 0.0000 -2.0252 7.9942
O 2.0252 0.0000 7.9942
O 0.0000 2.0252 7.9942
O 0.0000 0.0000 2.0252
O 0.0000 1.9719 3.9971
O 1.9719 0.0000 3.9971
O -2.0252 0.0000 7.9942
O 0.0000 -1.9719 11.9913
O 0.0000 0.0000 13.9632
O 0.0000 0.0000 10.0194
O 0.0000 0.0000 5.9690
Ti 0.0000 0.0000 3.9971
Ti 0.0000 0.0000 11.9913
Fe 0.0000 0.0000 0.0000
Fe 0.0000 0.0000 7.9942
La 1.9985 1.9985 5.9956
La -1.9985 -1.9985 5.9956
```

---

3.
Below is an optimized crystal structure of BaLuFe4O7, with properties calculated at the PBE+U level.

## Properties
**Space-group type**: No. 82
**ΔE to the lowest computed polymorph**: 0.000 eV per atom
**Formation energy**: -2.199 eV per atom

Cell and atoms, written as extended XYZ:
```
13
Lattice="-3.2075 3.2075 4.5086 3.2075 -3.2075 4.5086 3.2075 3.2075 -4.5086" Properties=species:S:1:pos:R:3 pbc="T T T"
Ba 0.0000 0.0000 0.0000
Lu 0.0000 3.2075 2.2543
Fe 1.6687 -0.1598 3.3300
Fe 3.0477 1.5388 1.1786
Fe 1.5388 3.3673 -1.1786
Fe 0.1598 1.6687 5.6872
O 1.9009 1.8079 -2.4391
O 1.3066 1.3996 2.0696
O 0.0000 0.0000 4.5086
O 0.0000 3.2075 0.0372
O 1.3996 -1.3066 6.9477
O 1.8079 4.5141 2.4391
O 0.0000 3.2075 4.4715
```

---

4.
Below is an optimized crystal structure of BaLuFe4O7, with properties calculated at the PBE+U level.

## Properties
**Space-group type**: No. 216
**ΔE to the lowest computed polymorph**: 0.113 eV per atom
**Formation energy**: -2.087 eV per atom

Cell and atoms, written as extended XYZ:
```
13
Lattice="0.0000 4.4945 4.4945 4.4945 0.0000 4.4945 4.4945 4.4945 0.0000" Properties=species:S:1:pos:R:3 pbc="T T T"
Ba 0.0000 0.0000 0.0000
Lu 6.7417 6.7417 6.7417
Fe 3.3346 3.3346 3.3346
Fe 5.6544 5.6544 3.3346
Fe 5.6544 3.3346 5.6544
Fe 3.3346 5.6544 5.6544
O 4.4945 4.4945 4.4945
O 6.7417 6.7417 4.5425
O 6.7417 4.5425 6.7417
O 8.9409 6.7417 6.7417
O 4.5425 6.7417 6.7417
O 6.7417 8.9409 6.7417
O 6.7417 6.7417 8.9409
```

---

5.
Below is an optimized crystal structure of Ba2Nd2MgFe4O10, with properties calculated at the PBE+U level.

## Properties
**Space-group type**: No. 1
**ΔE to the lowest computed polymorph**: 0.044 eV per atom
**Formation energy**: -2.389 eV per atom

Cell and atoms, written as extended XYZ:
```
19
Lattice="3.9349 0.0000 0.0000 0.0496 7.8066 0.0000 1.8414 0.0203 9.7241" Properties=species:S:1:pos:R:3 pbc="T T T"
Ba 0.0000 0.0000 0.0000
Ba 1.7634 0.1034 4.6965
Nd 1.7916 4.0104 9.1913
Nd 3.8086 3.9579 3.3414
Mg 1.8259 3.9897 5.7429
Fe 1.9057 5.9071 1.7568
Fe 1.8970 2.0616 1.5976
Fe 3.7562 1.8719 7.3036
Fe 3.7874 6.1149 7.2903
O 1.7825 2.5337 7.1196
O 1.8148 5.4541 7.0957
O 1.8369 2.6889 4.1156
O 1.8351 5.3104 4.0185
O 2.0151 0.0645 1.8406
O 3.7686 5.5836 9.2389
O 3.7545 2.4725 9.2402
O 3.7210 0.0924 6.4108
O 3.8808 2.5079 1.5607
O 3.9022 5.3598 1.5358
```

---

6.
Below is an optimized crystal structure of Ba2Nd2MgFe4O10, with properties calculated at the PBE+U level.

## Properties
**Space-group type**: No. 6
**ΔE to the lowest computed polymorph**: 0.047 eV per atom
**Formation energy**: -2.386 eV per atom

Cell and atoms, written as extended XYZ:
```
19
Lattice="7.9154 0.0000 0.0000 0.0000 3.8213 0.0000 -0.8774 0.0000 10.0447" Properties=species:S:1:pos:R:3 pbc="T T T"
Ba 0.0000 0.0000 0.0000
Ba 3.8623 0.0000 0.6201
Nd -0.5567 0.0000 6.5188
Nd 3.5793 0.0000 5.4083
Mg -0.2349 0.0000 3.3691
Fe 1.8065 1.9107 3.1143
Fe 1.6644 1.9107 7.9994
Fe 4.7018 1.9107 8.0332
Fe 5.6568 1.9107 3.6440
O -0.4373 1.9107 7.7012
O 1.3640 0.0000 4.4390
O 2.0013 1.9107 1.1769
O 1.4652 0.0000 8.4375
O 3.1383 1.9107 6.6795
O 3.7651 1.9107 3.8131
O 4.9760 1.9107 9.9812
O 5.2167 0.0000 7.3587
O 6.0151 0.0000 4.4697
O 7.4686 1.9107 2.8023
```

---

7.
Below is an optimized crystal structure of Ba2Nd2MgFe4O10, with properties calculated at the PBE+U level.

## Properties
**Space-group type**: No. 6
**ΔE to the lowest computed polymorph**: 0.000 eV per atom
**Formation energy**: -2.433 eV per atom

Cell and atoms, written as extended XYZ:
```
19
Lattice="7.8560 0.0000 0.0000 0.0000 3.6056 0.0000 -2.0847 0.0000 10.8418" Properties=species:S:1:pos:R:3 pbc="T T T"
Ba 0.0000 0.0000 0.0000
Ba -0.2038 0.0000 4.0583
Nd 1.5570 0.0000 10.1007
Nd 3.5131 0.0000 4.5627
Mg 6.1978 0.0000 7.6351
Fe 1.9036 1.8028 2.0067
Fe 1.0852 1.8028 6.8789
Fe 3.9375 1.8028 7.6703
Fe 5.4758 1.8028 1.8684
O -0.2838 1.8028 2.0226
O 0.1352 0.0000 6.8898
O 0.1778 1.8028 10.8012
O 2.1768 0.0000 2.5931
O 1.8572 1.8028 4.9999
O 2.1962 1.8028 8.6599
O 5.2647 0.0000 0.8490
O 4.8944 1.8028 3.8013
O 4.3643 0.0000 6.7866
O 5.7995 1.8028 8.5796
```

---

8.
Below is an optimized crystal structure of Ba2MgFe4O8, with properties calculated at the PBE+U level.

## Properties
**Space-group type**: No. 150
**ΔE to the lowest computed polymorph**: 0.000 eV per atom
**Formation energy**: -1.897 eV per atom

Cell and atoms, written as extended XYZ:
```
15
Lattice="5.5104 0.0000 0.0000 -2.7552 4.7721 0.0000 0.0000 0.0000 10.4625" Properties=species:S:1:pos:R:3 pbc="T T T"
Ba 0.0000 0.0000 1.8984
Ba 0.0000 0.0000 8.5642
Mg 0.0000 0.0000 5.2313
Fe 0.0000 3.1814 5.9936
Fe 0.0000 3.1814 9.8692
Fe 2.7552 1.5907 0.5933
Fe 2.7552 1.5907 4.4690
O -0.9405 1.6290 5.2313
O -1.8610 3.2233 0.0000
O 0.8942 1.5488 0.0000
O 0.0000 3.1814 7.9303
O 1.8811 0.0000 5.2313
O 1.8147 3.1431 5.2313
O 2.7552 1.5907 2.5322
O 3.7219 0.0000 0.0000
```

---

9.
Below is an optimized crystal structure of BaMg14FeO16, with properties calculated at the PBE+U level.

## Properties
**Space-group type**: No. 123
**ΔE to the lowest computed polymorph**: 0.032 eV per atom
**Formation energy**: -2.726 eV per atom

Cell and atoms, written as extended XYZ:
```
32
Lattice="8.7449 0.0000 0.0000 0.0000 8.7449 0.0000 0.0000 0.0000 4.5075" Properties=species:S:1:pos:R:3 pbc="T T T"
Ba 0.0000 0.0000 0.0000
Mg 0.0000 2.3151 2.2538
Mg 0.0000 4.3725 0.0000
Mg 0.0000 6.4298 2.2538
Mg 2.2138 4.3725 2.2538
Mg 2.2597 2.2597 0.0000
Mg 2.2597 6.4852 0.0000
Mg 2.3151 0.0000 2.2538
Mg 4.3725 0.0000 0.0000
Mg 4.3725 2.2138 2.2538
Mg 4.3725 6.5311 2.2538
Mg 6.4298 0.0000 2.2538
Mg 6.4852 2.2597 0.0000
Mg 6.4852 6.4852 0.0000
Mg 6.5311 4.3725 2.2538
Fe 4.3725 4.3725 0.0000
O 0.0000 0.0000 2.2538
O 0.0000 2.4549 0.0000
O 0.0000 4.3725 2.2538
O 0.0000 6.2900 0.0000
O 2.1964 2.1964 2.2538
O 2.1964 6.5485 2.2538
O 2.2164 4.3725 0.0000
O 2.4549 0.0000 0.0000
O 4.3725 0.0000 2.2538
O 4.3725 2.2164 0.0000
O 4.3725 4.3725 2.2538
O 4.3725 6.5286 0.0000
O 6.2900 0.0000 0.0000
O 6.5286 4.3725 0.0000
O 6.5485 2.1964 2.2538
O 6.5485 6.5485 2.2538
```

---

10.
Below is an optimized crystal structure of BaMg6FeO8, with properties calculated at the PBE+U level.

## Properties
**Space-group type**: No. 123
**ΔE to the lowest computed polymorph**: 0.010 eV per atom
**Formation energy**: -2.460 eV per atom

Cell and atoms, written as extended XYZ:
```
16
Lattice="4.6871 0.0000 0.0000 0.0000 4.6871 0.0000 0.0000 0.0000 8.8248" Properties=species:S:1:pos:R:3 pbc="T T T"
Ba 0.0000 0.0000 0.0000
Mg 0.0000 2.3435 2.3566
Mg 0.0000 2.3435 6.4683
Mg 2.3435 0.0000 2.3566
Mg 2.3435 0.0000 6.4683
Mg 2.3435 2.3435 0.0000
Mg 2.3435 2.3435 4.4124
Fe 0.0000 0.0000 4.4124
O 0.0000 0.0000 2.4756
O 0.0000 0.0000 6.3493
O 0.0000 2.3435 0.0000
O 0.0000 2.3435 4.4124
O 2.3435 0.0000 0.0000
O 2.3435 0.0000 4.4124
O 2.3435 2.3435 2.2316
O 2.3435 2.3435 6.5933
```

---

11.
Below is an optimized crystal structure of BaMg6FeO8, with properties calculated at the PBE+U level.

## Properties
**Space-group type**: No. 123
**ΔE to the lowest computed polymorph**: 0.000 eV per atom
**Formation energy**: -2.470 eV per atom

Cell and atoms, written as extended XYZ:
```
16
Lattice="4.6713 0.0000 0.0000 0.0000 4.6713 0.0000 0.0000 0.0000 8.8152" Properties=species:S:1:pos:R:3 pbc="T T T"
Ba 0.0000 0.0000 0.0000
Mg 0.0000 0.0000 4.4076
Mg 0.0000 2.3357 2.3433
Mg 0.0000 2.3357 6.4719
Mg 2.3357 0.0000 2.3433
Mg 2.3357 0.0000 6.4719
Mg 2.3357 2.3357 4.4076
Fe 2.3357 2.3357 0.0000
O 0.0000 0.0000 2.4959
O 0.0000 0.0000 6.3193
O 0.0000 2.3357 0.0000
O 0.0000 2.3357 4.4076
O 2.3357 0.0000 0.0000
O 2.3357 0.0000 4.4076
O 2.3357 2.3357 2.2463
O 2.3357 2.3357 6.5688
```

---

12.
Below is an optimized crystal structure of Ba2MgFe4O8, with properties calculated at the PBE+U level.

## Properties
**Space-group type**: No. 149
**ΔE to the lowest computed polymorph**: 0.137 eV per atom
**Formation energy**: -1.761 eV per atom

Cell and atoms, written as extended XYZ:
```
15
Lattice="5.6033 0.0000 0.0000 -2.8017 4.8526 0.0000 0.0000 0.0000 9.3114" Properties=species:S:1:pos:R:3 pbc="T T T"
Ba 0.0000 0.0000 0.0000
Ba 0.0000 0.0000 4.6557
Mg 2.8017 1.6175 0.0000
Fe 0.0000 3.2351 1.9020
Fe 0.0000 3.2351 7.4095
Fe 2.8017 1.6175 2.7889
Fe 2.8017 1.6175 6.5225
O -0.9201 1.6240 6.9519
O -1.8553 3.2438 2.3595
O 0.9201 1.6240 2.3595
O -0.9352 4.8374 6.9519
O 0.0000 3.2351 0.0000
O 1.8553 3.2438 6.9519
O 0.9352 4.8374 2.3595
O 2.8017 1.6175 4.6557
```

---

13.
Below is an optimized crystal structure of BaMg14FeO16, with properties calculated at the PBE+U level.

## Properties
**Space-group type**: No. 47
**ΔE to the lowest computed polymorph**: 0.000 eV per atom
**Formation energy**: -2.758 eV per atom

Cell and atoms, written as extended XYZ:
```
32
Lattice="4.5207 0.0000 0.0000 0.0000 8.7225 0.0000 0.0000 0.0000 8.7752" Properties=species:S:1:pos:R:3 pbc="T T T"
Ba 0.0000 0.0000 0.0000
Mg 0.0000 0.0000 4.3876
Mg 0.0000 2.2550 2.2910
Mg 0.0000 2.2550 6.4842
Mg 0.0000 4.3613 4.3876
Mg 0.0000 6.4675 2.2910
Mg 0.0000 6.4675 6.4842
Mg 2.2603 0.0000 2.3222
Mg 2.2603 0.0000 6.4530
Mg 2.2603 2.2074 4.3876
Mg 2.2603 2.3026 0.0000
Mg 2.2603 4.3613 2.2051
Mg 2.2603 4.3613 6.5702
Mg 2.2603 6.4200 0.0000
Mg 2.2603 6.5151 4.3876
Fe 0.0000 4.3613 0.0000
O 0.0000 0.0000 2.4630
O 0.0000 0.0000 6.3122
O 0.0000 2.2275 4.3876
O 0.0000 2.4317 0.0000
O 0.0000 4.3613 2.3174
O 0.0000 4.3613 6.4578
O 0.0000 6.2909 0.0000
O 0.0000 6.4950 4.3876
O 2.2603 0.0000 0.0000
O 2.2603 0.0000 4.3876
O 2.2603 2.1836 2.1935
O 2.2603 2.1836 6.5818
O 2.2603 4.3613 0.0000
O 2.2603 4.3613 4.3876
O 2.2603 6.5390 2.1935
O 2.2603 6.5390 6.5818
```

---

14.
Below is an optimized crystal structure of Ba2MgFeReO6, with properties calculated at the PBE+U level.

## Properties
**Space-group type**: No. 1
**Formation energy**: -2.262 eV per atom

Cell and atoms, written as extended XYZ:
```
11
Lattice="6.0094 0.0000 0.0000 3.0039 5.2188 0.0000 2.9969 1.6606 5.4632" Properties=species:S:1:pos:R:3 pbc="T T T"
Ba 0.0000 0.0000 0.0000
Ba 6.0017 3.3921 3.8186
Mg 9.0065 5.1507 3.3989
Fe 6.0086 3.4558 0.6409
Re 3.0008 1.6927 1.9273
O 7.3777 6.0860 3.1827
O 5.9990 5.3270 0.6038
O 4.3975 2.5050 0.6477
O 10.6238 6.1034 3.1748
O 9.0163 3.2677 3.2156
O 7.6311 2.5235 0.6396
```

---

15.
Below is an optimized crystal structure of BaSrMgFe4O8, with properties calculated at the PBE+U level.

## Properties
**Space-group type**: No. 8
**ΔE to the lowest computed polymorph**: 0.024 eV per atom
**Formation energy**: -2.013 eV per atom

Cell and atoms, written as extended XYZ:
```
15
Lattice="2.9087 -5.0039 0.0000 2.9087 5.0039 0.0000 -0.4714 0.0000 8.0385" Properties=species:S:1:pos:R:3 pbc="T T T"
Ba 0.0000 0.0000 0.0000
Sr 0.4578 0.0000 3.7590
Mg 2.3742 0.0000 6.6109
Fe 3.3174 1.6658 1.5983
Fe 3.6877 1.9307 5.6362
Fe 3.3174 -1.6658 1.5983
Fe 3.6877 -1.9307 5.6362
O 2.3010 3.2386 2.1191
O 1.6493 1.4188 5.3868
O 2.4505 0.0000 2.0812
O 3.0784 1.5081 7.7780
O 1.6493 -1.4188 5.3868
O 2.3010 -3.2386 2.1191
O 3.0784 -1.5081 7.7780
O 4.2818 0.0000 5.5550
```